DFT (meta-GGA r2SCAN) results for a geometry-optimized VPO4 structure.

```
24
Lattice="3.634 -2.457 2.833 -0.693 -6.281 -4.557 4.518 2.275 -3.822" Properties=species:S:1:pos:R:3 pbc="T T T"
P 0.680 -3.508 -3.914
P 6.779 -2.955 -1.632
V 1.470 -4.369 -0.862
O 4.123 0.626 -4.745
O -0.298 -4.632 -3.634
O 1.647 -3.386 -2.697
V 2.259 1.137 -1.911
O 1.510 -3.722 -5.164
P 2.843 -1.597 -0.219
O 5.424 -6.190 -5.159
O 3.673 -1.810 -1.469
O 3.785 -4.653 -4.077
O 5.811 -3.077 -2.849
O 5.594 -3.742 -5.607
V 3.729 -3.231 -2.773
O 2.315 -0.284 -3.215
O 3.811 -1.474 0.998
P 4.616 -4.866 -5.327
O 1.865 -2.720 0.061
O 3.648 -4.989 -6.544
O 3.505 -4.642 -1.248
O 3.953 -1.821 -4.298
V 0.000 0.000 0.000
O 2.035 -0.273 -0.386
```

## Properties
The total magnetic moment comes out at 8.00 Bohr magnetons per cell. The calculation puts the energy relative to the elements at -247 kJ/mol of atoms.